# 1
CaH16O10, optimized geometry, DFT GGA-PBE; excess energy over the best structure of this formula in the dataset = 26.8 meV per atom; E_form = -1369 meV/atom; SG = P1
1.0
6.165 0.000 0.000
-0.012 6.234 0.000
-0.002 -1.370 11.335
Ca H O
2 32 20
direct
0.000 0.000 0.000
0.016 0.995 0.500
0.028 0.469 0.115
0.048 0.335 0.838
0.143 0.683 0.289
0.195 0.761 0.709
0.271 0.405 0.086
0.280 0.201 0.700
0.281 0.097 0.281
0.291 0.637 0.593
0.298 0.364 0.878
0.299 0.615 0.389
0.369 0.283 0.381
0.371 0.706 0.882
0.381 0.762 0.095
0.393 0.947 0.850
0.397 0.299 0.591
0.451 0.007 0.115
0.567 0.001 0.616
0.620 0.303 0.091
0.625 0.948 0.351
0.636 0.757 0.597
0.644 0.706 0.383
0.646 0.286 0.880
0.715 0.620 0.888
0.716 0.363 0.379
0.726 0.642 0.092
0.734 0.100 0.781
0.737 0.206 0.200
0.746 0.399 0.588
0.822 0.763 0.209
0.869 0.695 0.789
0.967 0.336 0.341
0.989 0.463 0.616
0.127 0.343 0.108
0.150 0.679 0.373
0.151 0.710 0.626
0.184 0.255 0.841
0.285 0.142 0.366
0.287 0.831 0.853
0.320 0.912 0.118
0.335 0.161 0.618
0.498 0.505 0.921
0.501 0.523 0.052
0.515 0.519 0.553
0.517 0.504 0.421
0.683 0.167 0.117
0.697 0.907 0.619
0.729 0.145 0.866
0.729 0.831 0.354
0.830 0.256 0.342
0.864 0.685 0.873
0.865 0.715 0.126
0.890 0.337 0.608



# 2
LaSnPd, optimized geometry, DFT GGA-PBE; E_form = -944 meV/atom; SG = P-62m
1.0
7.736 0.000 0.000
-3.868 6.700 0.000
0.000 0.000 4.229
La Sn Pd
3 3 3
direct
0.000 0.586 0.000
0.414 0.414 0.000
0.586 0.000 0.000
0.000 0.248 0.500
0.248 0.000 0.500
0.752 0.752 0.500
0.000 0.000 0.000
0.333 0.667 0.500
0.667 0.333 0.500



# 3
Ba7Al10, optimized geometry, DFT GGA-PBE; E_form = -231 meV/atom; SG = R-3m
1.0
3.021 1.744 16.537
-3.021 1.744 16.537
0.000 -3.488 16.537
Ba Al
7 10
direct
0.000 0.000 0.000
0.141 0.141 0.141
0.371 0.371 0.371
0.448 0.448 0.448
0.552 0.552 0.552
0.629 0.629 0.629
0.859 0.859 0.859
0.084 0.084 0.606
0.084 0.606 0.084
0.216 0.216 0.216
0.299 0.299 0.299
0.394 0.916 0.916
0.606 0.084 0.084
0.701 0.701 0.701
0.784 0.784 0.784
0.916 0.394 0.916
0.916 0.916 0.394